Material: SmLuTl2
Method: DFT, r2SCAN
State: optimized geometry

a = 5.3397 Å, b = 5.3397 Å, c = 5.3397 Å
α = 60.00°, β = 60.00°, γ = 60.00°
Last column: nearest neighbours and their distance in Å.
Fractional coordinates of all 4 atoms:
Lu 0.2500 0.2500 0.2500  8 Tl 3.27
Sm 0.7500 0.7500 0.7500  8 Tl 3.27
Tl 0.5000 0.5000 0.5000  4 Lu 3.27, 4 Sm 3.27
Tl 0.0000 0.0000 0.0000  4 Lu 3.27, 4 Sm 3.27

Total DFT energy (no corrections) = -175.8 eV/f.u.
Crystal system = cubic